Crystalline Tm2Ga9Ir3 at its relaxed geometry. Source: Materials Project, functional r2SCAN.

- Space-group type: No. 63

a b c (Å): 7.474 7.474 9.410
angles (deg): 90.00 90.00 119.86
Atoms (fractional coordinates):
Ga 0.000 0.335 0.580
Ga 0.871 0.871 0.250
Ga 0.000 0.335 0.920
Tm 0.002 0.331 0.250
Ir 0.328 0.672 0.000
Ga 0.000 0.665 0.080
Ga 0.335 0.000 0.920
Ir 0.328 0.672 0.500
Tm 0.669 0.998 0.750
Ga 0.333 0.333 0.431
Ir 0.000 0.000 0.000
Ga 0.662 0.455 0.250
Ga 0.000 0.665 0.420
Ga 0.455 0.662 0.250
Ir 0.672 0.328 0.500
Tm 0.331 0.002 0.250
Ga 0.335 0.000 0.580
Ga 0.338 0.545 0.750
Ga 0.665 0.000 0.080
Ga 0.129 0.129 0.750
Ir 0.000 0.000 0.500
Tm 0.998 0.669 0.750
Ga 0.665 0.000 0.420
Ga 0.667 0.667 0.569
Ir 0.672 0.328 0.000
Ga 0.667 0.667 0.931
Ga 0.333 0.333 0.069
Ga 0.545 0.338 0.750



Crystalline YbGa2Ir at its relaxed geometry. Source: Materials Project, functional r2SCAN.

- Space-group type: No. 225

a b c (Å): 4.524 4.524 4.524
angles (deg): 60.00 60.00 60.00
Atoms (fractional coordinates):
Ga 0.250 0.250 0.250
Ir 0.500 0.500 0.500
Yb 0.000 0.000 0.000
Ga 0.750 0.750 0.750



Crystalline ZnGaIr2 at its relaxed geometry. Source: Materials Project, functional r2SCAN.

- Space-group type: No. 225

a b c (Å): 4.260 4.260 4.260
angles (deg): 60.00 60.00 60.00
Atoms (fractional coordinates):
Zn 0.750 0.750 0.750
Ir 0.500 0.500 0.500
Ga 0.250 0.250 0.250
Ir 0.000 0.000 0.000



Crystalline KMg14Ga at its relaxed geometry. Source: Materials Project, functional r2SCAN.

- Space-group type: No. 187

a b c (Å): 6.431 6.431 10.509
angles (deg): 90.00 90.00 120.00
Atoms (fractional coordinates):
Ga 0.167 0.333 0.625
Mg 0.157 0.828 0.625
Mg 0.832 0.166 0.394
Mg 0.663 0.326 0.125
Mg 0.672 0.343 0.625
Mg 0.832 0.166 0.856
Mg 0.334 0.668 0.856
K 0.167 0.333 0.125
Mg 0.174 0.837 0.125
Mg 0.334 0.668 0.394
Mg 0.833 0.667 0.882
Mg 0.334 0.166 0.856
Mg 0.833 0.667 0.368
Mg 0.672 0.828 0.625
Mg 0.334 0.166 0.394
Mg 0.663 0.837 0.125



Crystalline KGaO2 at its relaxed geometry. Source: Materials Project, functional r2SCAN.

- Space-group type: No. 61

a b c (Å): 5.522 11.073 15.811
angles (deg): 90.00 90.00 90.00
Atoms (fractional coordinates):
K 0.800 0.234 0.683
Ga 0.784 0.237 0.935
O 0.929 0.805 0.012
O 0.057 0.021 0.786
K 0.200 0.734 0.817
O 0.838 0.334 0.842
O 0.662 0.834 0.842
K 0.743 0.983 0.561
Ga 0.284 0.263 0.065
Ga 0.216 0.737 0.565
O 0.443 0.979 0.286
O 0.162 0.834 0.658
O 0.162 0.666 0.158
O 0.071 0.195 0.988
O 0.647 0.407 0.399
O 0.853 0.593 0.899
Ga 0.266 0.009 0.189
K 0.700 0.766 0.183
O 0.571 0.195 0.512
K 0.800 0.266 0.183
K 0.257 0.017 0.439
Ga 0.784 0.263 0.435
K 0.257 0.483 0.939
Ga 0.216 0.763 0.065
O 0.662 0.666 0.342
K 0.200 0.766 0.317
O 0.571 0.305 0.012
K 0.300 0.234 0.817
K 0.700 0.734 0.683
Ga 0.234 0.991 0.689
O 0.353 0.593 0.601
Ga 0.234 0.509 0.189
O 0.943 0.521 0.714
O 0.071 0.305 0.488
Ga 0.266 0.491 0.689
Ga 0.716 0.737 0.935
O 0.429 0.805 0.488
K 0.743 0.517 0.061
O 0.057 0.479 0.286
O 0.353 0.907 0.101
O 0.929 0.695 0.512
O 0.443 0.521 0.786
O 0.147 0.407 0.101
Ga 0.766 0.491 0.811
K 0.243 0.517 0.439
O 0.943 0.979 0.214
O 0.557 0.021 0.714
Ga 0.766 0.009 0.311
K 0.243 0.983 0.939
O 0.338 0.334 0.658
O 0.838 0.166 0.342
K 0.757 0.017 0.061
Ga 0.716 0.763 0.435
O 0.338 0.166 0.158
Ga 0.734 0.509 0.311
Ga 0.734 0.991 0.811
K 0.300 0.266 0.317
K 0.757 0.483 0.561
Ga 0.284 0.237 0.565
O 0.147 0.093 0.601
O 0.647 0.093 0.899
O 0.557 0.479 0.214
O 0.853 0.907 0.399
O 0.429 0.695 0.988



Crystalline KGaS2 at its relaxed geometry. Source: Materials Project, functional r2SCAN.

- Space-group type: No. 15

a b c (Å): 7.395 7.395 14.844
angles (deg): 82.75 82.75 90.01
Atoms (fractional coordinates):
S 0.142 0.268 0.929
S 0.433 0.567 0.750
Ga 0.087 0.710 0.163
Ga 0.419 0.290 0.837
S 0.057 0.433 0.250
S 0.734 0.358 0.568
Ga 0.290 0.913 0.337
K 0.152 0.775 0.891
S 0.567 0.943 0.250
K 0.654 0.777 0.889
K 0.223 0.346 0.611
S 0.943 0.057 0.750
Ga 0.290 0.419 0.337
S 0.567 0.433 0.250
S 0.433 0.057 0.750
Ga 0.710 0.087 0.663
S 0.268 0.142 0.429
K 0.225 0.848 0.609
S 0.943 0.567 0.750
K 0.848 0.225 0.109
S 0.057 0.943 0.250
Ga 0.581 0.710 0.163
K 0.777 0.654 0.389
S 0.642 0.266 0.932
K 0.775 0.152 0.391
S 0.858 0.732 0.071
K 0.346 0.223 0.111
Ga 0.913 0.290 0.837
S 0.358 0.734 0.068
Ga 0.710 0.581 0.663
S 0.266 0.642 0.432
S 0.732 0.858 0.571



Crystalline KGaSb2 at its relaxed geometry. Source: Materials Project, functional r2SCAN.

- Space-group type: No. 64

a b c (Å): 9.894 9.894 29.745
angles (deg): 90.00 90.00 133.99
Atoms (fractional coordinates):
K 0.152 0.348 0.750
K 0.348 0.152 0.250
Sb 0.163 0.468 0.076
Sb 0.265 0.735 0.307
Sb 0.348 0.652 0.653
Ga 0.766 0.688 0.630
Sb 0.921 0.079 0.195
Sb 0.546 0.454 0.415
Ga 0.994 0.450 0.625
Ga 0.050 0.506 0.875
Ga 0.450 0.994 0.375
Sb 0.139 0.861 0.421
K 0.215 0.215 0.500
Sb 0.954 0.046 0.915
K 0.652 0.848 0.750
K 0.657 0.343 0.806
K 0.785 0.785 0.500
Ga 0.312 0.234 0.630
K 0.157 0.843 0.694
Sb 0.848 0.152 0.847
Sb 0.046 0.954 0.085
Sb 0.542 0.458 0.155
Ga 0.188 0.266 0.130
Sb 0.837 0.532 0.924
Sb 0.454 0.546 0.585
Ga 0.494 0.950 0.875
K 0.298 0.702 0.511
Sb 0.663 0.968 0.424
Sb 0.652 0.348 0.347
Ga 0.734 0.812 0.130
Ga 0.812 0.734 0.870
Sb 0.579 0.421 0.695
Ga 0.006 0.550 0.375
Sb 0.968 0.663 0.576
Sb 0.958 0.042 0.655
Ga 0.550 0.006 0.625
Sb 0.042 0.958 0.345
Sb 0.458 0.542 0.845
Sb 0.861 0.139 0.579
Sb 0.468 0.163 0.924
Sb 0.361 0.639 0.921
K 0.702 0.298 0.489
K 0.798 0.202 0.989
Sb 0.152 0.848 0.153
Sb 0.639 0.361 0.079
Sb 0.337 0.032 0.576
K 0.715 0.715 0.000
Sb 0.235 0.765 0.807
K 0.848 0.652 0.250
K 0.343 0.657 0.194
Sb 0.421 0.579 0.305
Sb 0.735 0.265 0.693
Ga 0.950 0.494 0.125
Sb 0.532 0.837 0.076
Ga 0.234 0.312 0.370
K 0.202 0.798 0.011
Ga 0.266 0.188 0.870
Ga 0.506 0.050 0.125
Ga 0.688 0.766 0.370
Sb 0.765 0.235 0.193
Sb 0.079 0.921 0.805
Sb 0.032 0.337 0.424
K 0.843 0.157 0.306
K 0.285 0.285 0.000



Crystalline LaGa at its relaxed geometry. Source: Materials Project, functional r2SCAN.

- Space-group type: No. 63

a b c (Å): 4.257 4.590 6.165
angles (deg): 111.86 90.00 90.00
Atoms (fractional coordinates):
Ga 0.750 0.567 0.134
Ga 0.250 0.433 0.866
La 0.250 0.140 0.279
La 0.750 0.860 0.721



no.,energy of formation from the pure elements (kJ/mol of atoms)
1,-71.0
2,-63.8
3,-40.8
4,10.4
5,-197.5
6,-118.6
7,-41.0
8,-67.1